Compound: Sr2BBrN2
Source: Materials Project
Functional: GGA-PBE
Structure: optimized geometry Values from VASP.

Values from the calculation:
Energy in eV/cell: -36.862
Density in Mg/m³: 3.7
M_tot in μB per atom: 0.000
ΔE_f in kJ/mol of atoms: -148
Space group: R-3m

The structure in Quantum ESPRESSO input format:
```
&SYSTEM
  ibrav = 0, nat = 6, ntyp = 4
/
ATOMIC_SPECIES
Sr 87.62 Sr.upf
B 10.81 B.upf
Br 79.90 Br.upf
N 14.01 N.upf
CELL_PARAMETERS angstrom
2.0746 1.1978 8.8958
-2.0746 1.1978 8.8958
0.0000 -2.3955 8.8958
ATOMIC_POSITIONS crystal
Sr 0.2478 0.2478 0.2478
Sr 0.7522 0.7522 0.7522
B 0.5000 0.5000 0.5000
Br 0.0000 0.0000 0.0000
N 0.4494 0.4494 0.4494
N 0.5506 0.5506 0.5506
```

***

Compound: AgSbTe2
Source: Materials Project
Functional: GGA-PBE
Structure: optimized geometry Values from VASP.

Values from the calculation:
Energy in eV/cell: -26.011
Density in Mg/m³: 7.0
M_tot in μB per atom: 0.000
ΔE_f in kJ/mol of atoms: -15
Space group: P4/mmm

The structure in Quantum ESPRESSO input format:
```
&SYSTEM
  ibrav = 0, nat = 8, ntyp = 3
/
ATOMIC_SPECIES
Ag 107.87 Ag.upf
Sb 121.76 Sb.upf
Te 127.60 Te.upf
CELL_PARAMETERS angstrom
6.1410 0.0000 0.0000
0.0000 6.1410 0.0000
0.0000 0.0000 6.0683
ATOMIC_POSITIONS crystal
Ag 0.0000 0.5000 0.0000
Ag 0.5000 0.0000 0.0000
Sb 0.0000 0.0000 0.0000
Sb 0.0000 0.0000 0.5000
Te 0.0000 0.5000 0.5000
Te 0.5000 0.0000 0.5000
Te 0.5000 0.5000 0.0000
Te 0.5000 0.5000 0.5000
```